The following is a DFT calculation (PBE-GGA) of MoN after structural relaxation.

- DFT formation energy: -0.131 eV/atom

Lattice parameters (Å, degrees): 6.068 6.068 5.110 82.97 82.97 100.37
Fractional positions:
Mo1 0.875 0.875 0.768
Mo2 0.125 0.125 0.232
Mo3 0.399 0.025 0.727
Mo4 0.025 0.399 0.727
Mo5 0.516 0.516 0.740
Mo6 0.601 0.975 0.273
Mo7 0.975 0.601 0.273
Mo8 0.484 0.484 0.260
N1 0.314 0.686 0.500
N2 0.686 0.314 0.500
N3 0.200 0.458 0.050
N4 0.542 0.800 0.950
N5 0.131 0.869 0.000
N6 0.458 0.200 0.050
N7 0.869 0.131 0.000
N8 0.800 0.542 0.950

***

The following is a DFT calculation (PBE-GGA) of MoN after structural relaxation.

- DFT formation energy: -0.292 eV/atom

Lattice parameters (Å, degrees): 2.830 2.830 6.136 80.35 80.35 89.11
Fractional positions:
Mo1 0.853 0.853 0.703
Mo2 0.147 0.147 0.297
N1 0.687 0.687 0.197
N2 0.313 0.313 0.803

***

The following is a DFT calculation (PBE-GGA) of MoN2 after structural relaxation.

- DFT formation energy: -0.097 eV/atom

Lattice parameters (Å, degrees): 5.681 5.681 4.185 69.03 69.03 38.42
Fractional positions:
Mo1 0.617 0.617 0.692
Mo2 0.383 0.383 0.308
N1 0.833 0.833 0.443
N2 0.167 0.167 0.557
N3 0.585 0.585 0.155
N4 0.415 0.415 0.845

***

The following is a DFT calculation (PBE-GGA) of MoN after structural relaxation.

- DFT formation energy: 0.192 eV/atom

Lattice parameters (Å, degrees): 2.705 2.705 2.705 90.00 90.00 90.00
Fractional positions:
Mo1 0.000 0.000 0.000
N1 0.500 0.500 0.500

***

The following is a DFT calculation (PBE-GGA) of MoN after structural relaxation.

- DFT formation energy: -0.547 eV/atom

Lattice parameters (Å, degrees): 5.772 5.772 5.678 90.00 90.00 120.00
Fractional positions:
Mo1 0.512 0.488 0.748
Mo2 0.024 0.512 0.248
Mo3 0.488 0.976 0.248
Mo4 0.512 0.024 0.748
Mo5 0.488 0.512 0.248
Mo6 0.976 0.488 0.748
Mo7 0.000 0.000 0.258
Mo8 0.000 0.000 0.758
N1 0.166 0.333 0.992
N2 0.333 0.166 0.492
N3 0.834 0.667 0.492
N4 0.834 0.166 0.492
N5 0.667 0.333 0.022
N6 0.166 0.834 0.992
N7 0.667 0.834 0.992
N8 0.333 0.667 0.522

***

The following is a DFT calculation (PBE-GGA) of Mo3Pb3N5 after structural relaxation.

- DFT formation energy: -0.072 eV/atom

Lattice parameters (Å, degrees): 6.129 7.976 8.843 107.57 97.11 99.91
Fractional positions:
Mo1 0.928 0.313 0.968
Mo2 0.072 0.687 0.032
Mo3 0.675 0.997 0.614
Mo4 0.325 0.003 0.386
Mo5 0.080 0.907 0.708
Mo6 0.920 0.093 0.292
Pb1 0.748 0.453 0.517
Pb2 0.252 0.547 0.483
Pb3 0.521 0.804 0.883
Pb4 0.479 0.196 0.117
Pb5 0.571 0.647 0.218
Pb6 0.429 0.353 0.782
N1 0.970 0.131 0.776
N2 0.030 0.869 0.224
N3 0.804 0.785 0.557
N4 0.196 0.215 0.443
N5 0.778 0.523 0.978
N6 0.222 0.477 0.022
N7 0.330 0.940 0.586
N8 0.670 0.060 0.414
N9 0.101 0.796 0.871
N10 0.899 0.204 0.129